Na2NiSn (PBE-GGA, relaxed); total energy = -2.98 eV per atom; space-group type = Pmmm
1.0
-0.698 3.609 0.252
-0.637 0.172 -4.213
-4.982 -1.013 0.712
Na Ni Sn
2 1 1
direct
0.000 0.000 0.000
0.500 0.500 0.000
0.000 0.500 0.500
0.500 0.000 0.500